No. 1
# NpSe3

An optimized crystal structure of NpSe3 (meta-GGA r2SCAN, Materials Project).

Results
final energy	-262.3	eV/cell
total magnetization	6.0	μB/cell
density	7.01	Mg/m³
DFT formation energy	-1.297	eV/atom

Geometry as extended XYZ:
```
8
Lattice="4.118 0.000 0.000 0.000 5.679 0.005 0.000 1.241 9.600" Properties=species:S:1:pos:R:3 pbc="T T T"
Np 3.089 2.656 8.155
Se 1.030 1.524 6.420
Se 1.030 1.416 0.585
Se 3.089 3.060 3.107
Se 3.089 5.396 3.185
Np 1.030 4.264 1.450
Se 3.089 5.504 9.020
Se 1.030 3.860 6.498
```

***

No. 2
# LiFeF5

An optimized crystal structure of LiFeF5 (meta-GGA r2SCAN, Materials Project).

Results
final energy	-99.6	eV/cell
total magnetization	8.0	μB/cell
density	3.27	Mg/m³
DFT formation energy	-2.485	eV/atom

Geometry as extended XYZ:
```
14
Lattice="4.191 2.888 -0.202 -4.192 2.889 0.202 -3.320 0.001 6.775" Properties=species:S:1:pos:R:3 pbc="T T T"
F -1.192 1.670 3.040
F -0.831 5.057 1.694
F -2.490 0.720 5.082
F -2.677 3.149 1.054
Li -2.491 2.732 5.081
F -2.129 4.107 3.736
F -0.469 1.670 0.348
F -0.644 2.628 5.722
Li -0.830 3.045 1.694
F 1.016 3.149 2.334
Fe 0.000 0.000 0.000
F -4.337 2.628 4.441
Fe -1.660 0.000 3.388
F -2.852 4.107 6.428
```

***

No. 3
# AlSe2Cl4

An optimized crystal structure of AlSe2Cl4 (meta-GGA r2SCAN, Materials Project).

Results
final energy	-539.6	eV/cell
total magnetization	0.0	μB/cell
density	2.58	Mg/m³
DFT formation energy	-1.069	eV/atom

Geometry as extended XYZ:
```
56
Lattice="-1.405 -8.208 4.234 12.509 -3.731 -3.080 4.404 5.214 11.569" Properties=species:S:1:pos:R:3 pbc="T T T"
Se 8.211 -0.694 4.985
Cl 9.600 -5.567 2.701
Cl 10.131 2.643 8.486
Cl 4.651 0.463 6.255
Cl 3.766 -4.708 8.922
Cl 7.264 -2.975 3.149
Cl 11.741 -2.017 3.800
Cl 12.132 -3.058 8.404
Cl 0.628 -1.560 3.688
Al 12.168 -1.117 1.874
Al 8.306 -4.629 4.089
Cl 6.782 -1.160 0.003
Se -1.160 -6.772 3.493
Cl 6.746 -6.002 4.711
Cl 12.520 1.138 6.362
Se 11.336 -1.331 11.488
Cl 14.505 -2.192 10.871
Al 7.201 -2.096 8.633
Cl 8.244 -3.750 9.573
Cl 2.646 -7.637 2.871
Cl 3.375 -3.667 4.318
Al 1.336 -3.610 3.751
Cl 10.616 -1.557 0.504
Se 8.129 0.051 2.797
Cl 5.907 -1.158 10.021
Cl 1.002 -4.533 1.851
Cl 2.839 3.280 7.301
Se 5.306 -7.406 1.318
Se -0.246 -1.436 0.740
Cl 4.392 0.345 2.127
Cl 3.532 -2.467 0.204
Se 1.253 -2.934 8.643
Cl 9.352 -3.918 5.814
Cl 14.074 -1.797 1.188
Se 7.297 -6.031 7.738
Se 12.406 -4.914 4.898
Al 14.171 -3.115 8.972
Se 3.101 -1.811 7.825
Cl 14.879 -5.164 9.035
Al 4.744 2.600 6.615
Se 0.736 0.569 1.347
Se 8.784 1.432 5.692
Se 4.171 -5.394 1.234
Cl 0.110 -4.588 5.250
Cl 10.856 -7.188 6.468
Se 1.745 -0.060 7.160
Al 4.726 -0.658 0.293
Cl 8.762 -0.723 8.012
Cl 11.976 -4.258 12.519
Se 16.176 0.914 7.142
Cl 12.861 0.912 9.851
Cl 6.156 -2.807 6.909
Se 5.798 -4.532 -0.164
Cl 6.297 3.040 7.984
Al 12.187 2.141 8.196
Cl 15.398 -2.137 7.473
```

***

No. 4
# Na6NiO4

An optimized crystal structure of Na6NiO4 (meta-GGA r2SCAN, Materials Project).

Results
final energy	-144.1	eV/cell
total magnetization	4.0	μB/cell
density	3.07	Mg/m³
DFT formation energy	-1.343	eV/atom

Geometry as extended XYZ:
```
22
Lattice="7.516 0.014 -0.003 -3.746 6.489 0.005 -0.002 0.003 5.782" Properties=species:S:1:pos:R:3 pbc="T T T"
O 0.048 4.311 5.252
O 2.161 1.209 4.933
O 5.381 1.225 4.929
O 3.784 4.085 4.965
O 1.644 5.234 2.045
O 3.759 2.127 2.359
Na -1.447 3.468 3.692
Na 5.236 3.000 0.798
Na -2.147 5.579 5.590
Na 3.766 0.491 0.747
Na 2.145 5.562 5.592
Na 2.237 3.038 0.799
Ni 3.760 2.229 4.329
Ni -0.039 4.359 1.440
Na 3.759 4.660 2.696
Na 0.020 6.085 3.692
Na 0.015 1.840 5.580
O -1.659 5.267 2.077
O 0.020 2.452 2.041
Na 1.462 3.487 3.641
Na 1.629 0.936 2.698
Na 5.916 0.920 2.686
```

***

No. 5
# PrScS3

An optimized crystal structure of PrScS3 (meta-GGA r2SCAN, Materials Project).

Results
final energy	-305.5	eV/cell
total magnetization	0.0	μB/cell
density	4.15	Mg/m³
DFT formation energy	-2.296	eV/atom

Geometry as extended XYZ:
```
20
Lattice="-3.183 -1.408 5.522 0.250 -6.994 -1.639 8.392 -0.786 4.636" Properties=species:S:1:pos:R:3 pbc="T T T"
S 5.315 -3.208 8.577
S 5.890 -6.506 6.977
Sc 0.125 -3.497 -0.820
S 6.030 -4.514 3.289
Pr 2.007 -0.922 1.201
Sc 2.604 -1.097 5.079
S 3.316 -6.278 1.694
Sc -1.591 -0.704 2.761
S 5.109 -1.369 5.489
Pr 0.771 -5.021 2.742
Pr 4.688 -4.168 5.777
S 0.144 -5.981 -0.058
S -0.571 -4.675 5.230
S 2.143 -2.911 6.825
S -0.431 -2.683 1.542
S 2.741 -2.980 3.294
Sc 4.321 -3.890 1.498
Pr 3.453 -8.267 7.318
S 0.350 -7.820 3.030
S 2.718 -6.209 5.225
```

***

No. 6
# PrCu2Si2

An optimized crystal structure of PrCu2Si2 (meta-GGA r2SCAN, Materials Project).

Results
final energy	-71.7	eV/cell
total magnetization	0.0	μB/cell
density	6.50	Mg/m³
DFT formation energy	-0.613	eV/atom

Geometry as extended XYZ:
```
5
Lattice="3.830 0.000 -1.452 -0.550 3.790 -1.452 -0.020 -0.024 5.723" Properties=species:S:1:pos:R:3 pbc="T T T"
Pr 0.000 0.000 0.000
Si 1.223 1.413 3.225
Si 2.036 2.353 -0.406
Cu 2.724 0.936 1.410
Cu 0.534 2.830 1.410
```

***

No. 7
# SmI3O9

An optimized crystal structure of SmI3O9 (meta-GGA r2SCAN, Materials Project).

Results
final energy	-685.8	eV/cell
total magnetization	0.0	μB/cell
density	5.52	Mg/m³
DFT formation energy	-1.099	eV/atom

Geometry as extended XYZ:
```
52
Lattice="8.532 0.000 0.000 0.000 7.191 0.016 0.000 2.292 13.251" Properties=species:S:1:pos:R:3 pbc="T T T"
O 0.629 3.397 6.346
O 2.805 1.373 6.828
I 2.483 7.351 8.139
I 4.432 7.296 11.807
O 7.903 6.086 6.922
O 4.026 4.211 10.159
O 4.081 9.065 11.746
O 5.665 3.655 6.019
O 4.506 5.272 3.108
O 6.754 6.223 4.340
O 1.399 4.682 0.623
Sm 2.074 2.078 4.717
O 1.461 0.227 0.202
I 6.749 3.278 11.754
O 8.347 1.564 8.147
I 0.166 3.334 8.086
Sm 6.340 6.259 1.925
O 1.621 8.031 10.951
O 5.727 8.111 6.440
O 7.133 4.801 12.645
I 1.783 6.205 1.514
O 8.292 6.418 9.734
I 8.366 6.150 5.182
O 5.746 5.220 8.384
I 4.100 2.188 1.460
O 0.185 7.919 5.121
O 4.018 7.583 9.074
O 0.240 3.065 3.533
O 6.044 7.369 10.966
O 7.052 4.074 1.759
O 1.480 5.409 11.509
O 6.911 1.452 2.316
I 4.627 3.828 8.493
O 2.867 5.828 7.248
I 3.905 5.655 4.775
O 2.645 6.885 4.325
O 3.637 4.543 12.971
Sm 2.192 3.224 11.342
O 5.887 2.598 8.942
O 2.786 4.263 4.883
I 0.361 6.801 11.400
O 1.778 3.260 8.927
Sm 6.458 7.405 8.550
O 7.071 9.257 13.065
I 8.171 2.683 1.867
O 8.284 3.047 10.819
O 4.895 4.940 0.296
O 2.488 2.114 2.302
O 0.248 6.437 2.448
O 4.514 1.901 4.194
I 6.049 2.132 5.128
O 4.451 0.418 1.521
```

***

No. 8
# TbAlPd

An optimized crystal structure of TbAlPd (meta-GGA r2SCAN, Materials Project).

Results
final energy	-191.0	eV/cell
total magnetization	0.0	μB/cell
density	8.14	Mg/m³
DFT formation energy	-0.916	eV/atom

Geometry as extended XYZ:
```
9
Lattice="7.140 0.000 0.000 -3.570 6.183 0.000 0.000 0.000 4.053" Properties=species:S:1:pos:R:3 pbc="T T T"
Tb 1.489 2.580 2.027
Pd 0.000 4.122 0.000
Pd 3.570 2.061 0.000
Al 2.733 4.734 0.000
Pd 0.000 0.000 2.027
Al 1.674 0.000 0.000
Tb -2.081 3.604 2.027
Al -0.837 1.449 0.000
Tb 4.161 0.000 2.027
```

***

No. 9
# TaAlNi6

An optimized crystal structure of TaAlNi6 (meta-GGA r2SCAN, Materials Project).

Results
final energy	-260.8	eV/cell
total magnetization	0.0	μB/cell
density	10.16	Mg/m³
DFT formation energy	-0.398	eV/atom

Geometry as extended XYZ:
```
16
Lattice="-3.551 2.762 -2.343 -1.305 -4.220 2.493 -1.107 4.393 6.856" Properties=species:S:1:pos:R:3 pbc="T T T"
Al -2.884 1.402 6.023
Ni -1.972 -1.910 3.368
Ni -3.674 -0.586 2.245
Ni -4.617 2.822 4.833
Ni -2.428 -0.729 0.075
Ni -0.653 -2.110 1.247
Ni -2.982 1.468 3.503
Ta 0.000 0.000 0.000
Al -3.079 1.533 0.983
Ni -1.206 0.086 4.675
Ni -1.775 1.381 -1.172
Ni -2.289 3.521 4.761
Ni -1.346 0.113 2.173
Ni -3.992 4.845 3.638
Ta -0.554 2.197 3.428
Ni -2.329 3.578 2.256
```

***

No. 10
# SrEu3

An optimized crystal structure of SrEu3 (meta-GGA r2SCAN, Materials Project).

Results
final energy	-130.4	eV/cell
total magnetization	23.3	μB/cell
density	4.76	Mg/m³
DFT formation energy	0.073	eV/atom

Geometry as extended XYZ:
```
4
Lattice="5.744 0.000 0.000 0.000 5.744 0.000 0.000 0.000 5.744" Properties=species:S:1:pos:R:3 pbc="T T T"
Eu 2.872 2.872 0.000
Sr 0.000 0.000 0.000
Eu 2.872 0.000 2.872
Eu 0.000 2.872 2.872
```

***

No. 11
# AcTlAg2

An optimized crystal structure of AcTlAg2 (meta-GGA r2SCAN, Materials Project).

Results
final energy	-165.5	eV/cell
total magnetization	0.0	μB/cell
density	10.48	Mg/m³
DFT formation energy	-0.237	eV/atom

Geometry as extended XYZ:
```
4
Lattice="-3.011 -4.139 -1.185 -0.329 -4.049 3.331 -4.449 -0.860 2.659" Properties=species:S:1:pos:R:3 pbc="T T T"
Ac -1.947 -2.262 1.201
Ag 0.000 0.000 0.000
Ag -3.894 -4.524 2.403
Tl -5.841 -6.786 3.604
```

***

No. 12
# Dy2Pb2O7

An optimized crystal structure of Dy2Pb2O7 (meta-GGA r2SCAN, Materials Project).

Results
final energy	-488.3	eV/cell
total magnetization	0.0	μB/cell
density	9.34	Mg/m³
DFT formation energy	-2.346	eV/atom

Geometry as extended XYZ:
```
22
Lattice="0.000 5.329 5.329 5.329 0.000 5.329 5.329 5.329 0.000" Properties=species:S:1:pos:R:3 pbc="T T T"
O 7.994 7.994 10.376
O 2.947 5.329 5.329
O 10.376 7.994 7.994
O 7.711 5.329 5.329
Dy 1.332 1.332 1.332
Pb 6.662 3.997 3.997
Dy 1.332 3.997 3.997
O 5.329 5.329 2.947
O 5.329 7.711 5.329
O 7.994 7.994 5.612
O 7.994 5.612 7.994
Pb 3.997 3.997 6.662
O 0.000 0.000 0.000
Dy 3.997 1.332 3.997
O 5.329 2.947 5.329
Pb 3.997 6.662 3.997
Pb 6.662 6.662 6.662
Dy 3.997 3.997 1.332
O 5.329 5.329 7.711
O 2.665 2.665 2.665
O 5.612 7.994 7.994
O 7.994 10.376 7.994
```

***

No. 13
# Na2UI6

An optimized crystal structure of Na2UI6 (meta-GGA r2SCAN, Materials Project).

Results
final energy	-246.2	eV/cell
total magnetization	2.0	μB/cell
density	4.51	Mg/m³
DFT formation energy	-1.313	eV/atom

Geometry as extended XYZ:
```
9
Lattice="7.617 -3.907 -0.006 7.618 3.905 -0.008 5.621 0.001 6.457" Properties=species:S:1:pos:R:3 pbc="T T T"
I 12.902 1.176 1.520
I 9.296 -1.452 0.573
Na 13.985 0.000 4.320
I 7.953 -1.176 4.922
Na 6.871 0.000 2.122
I 8.695 2.628 2.519
U 0.000 0.000 0.000
I 12.160 -2.628 3.923
I 11.559 1.452 5.869
```

***

No. 14
# Nd2Ru2O7

An optimized crystal structure of Nd2Ru2O7 (meta-GGA r2SCAN, Materials Project).

Results
final energy	-355.4	eV/cell
total magnetization	0.0	μB/cell
density	7.16	Mg/m³
DFT formation energy	-2.382	eV/atom

Geometry as extended XYZ:
```
22
Lattice="0.000 5.189 5.192 5.189 0.000 5.191 5.189 5.189 0.000" Properties=species:S:1:pos:R:3 pbc="T T T"
O 2.594 2.594 2.596
O 9.910 7.783 7.787
O 5.657 7.783 7.787
O 5.189 7.316 5.191
Ru 3.892 3.892 6.489
O 5.189 0.000 5.191
O 7.783 7.783 5.629
O 7.783 7.783 9.946
O 7.783 9.910 7.787
Ru 3.892 6.486 3.894
Nd 1.297 1.297 1.298
O 7.783 5.657 7.787
O 3.062 5.189 5.191
Nd 3.892 1.297 3.894
Ru 6.486 6.486 6.489
O 7.316 5.189 5.191
O 5.189 5.189 3.033
Nd 1.297 3.892 3.894
Ru 6.486 3.892 3.894
O 5.189 3.062 5.191
O 5.189 5.189 7.350
Nd 3.892 3.892 1.298
```

***

No. 15
# Y2PdRh

An optimized crystal structure of Y2PdRh (meta-GGA r2SCAN, Materials Project).

Results
final energy	-91.3	eV/cell
total magnetization	0.0	μB/cell
density	7.78	Mg/m³
DFT formation energy	-0.886	eV/atom

Geometry as extended XYZ:
```
4
Lattice="0.000 3.458 3.458 3.458 0.000 3.458 3.458 3.458 0.000" Properties=species:S:1:pos:R:3 pbc="T T T"
Y 5.186 5.186 5.186
Pd 3.458 3.458 3.458
Rh 0.000 0.000 0.000
Y 1.729 1.729 1.729
```

***

No. 16
# Pr3CBr5

An optimized crystal structure of Pr3CBr5 (meta-GGA r2SCAN, Materials Project).

Results
final energy	-361.9	eV/cell
total magnetization	0.0	μB/cell
density	4.82	Mg/m³
DFT formation energy	-1.833	eV/atom

Geometry as extended XYZ:
```
18
Lattice="7.681 0.016 -0.003 -2.525 8.784 0.027 -1.226 -3.371 8.504" Properties=species:S:1:pos:R:3 pbc="T T T"
Br 2.759 6.240 4.539
Br -1.270 4.242 5.437
Br 2.597 -1.472 7.786
Br 1.170 3.224 2.420
Pr 2.379 0.685 1.738
Pr 1.551 4.745 6.789
C 3.367 5.284 8.133
Pr 6.655 2.228 0.719
Br 1.333 6.901 0.741
Br 1.171 -0.810 3.988
Br 5.172 4.917 1.533
C 0.563 0.145 0.394
Pr 4.112 7.631 2.006
Pr -0.182 -2.202 6.521
Br 2.760 2.205 6.107
Br 5.200 1.188 3.090
Pr -2.725 3.201 7.808
Br -1.242 0.513 6.994
```

***

No. 17
# Nb3B4

An optimized crystal structure of Nb3B4 (meta-GGA r2SCAN, Materials Project).

Results
final energy	-109.1	eV/cell
total magnetization	0.0	μB/cell
density	7.22	Mg/m³
DFT formation energy	-0.790	eV/atom

Geometry as extended XYZ:
```
7
Lattice="-3.009 0.917 0.248 -0.092 -1.137 3.114 3.670 6.432 0.692" Properties=species:S:1:pos:R:3 pbc="T T T"
Nb 0.784 2.338 0.877
B 0.227 0.244 1.862
B 0.343 5.968 2.192
Nb -1.504 0.459 0.124
B 1.559 4.651 1.745
Nb -0.214 3.874 3.177
B -0.989 1.561 2.309
```